(1)
Density functional theory data (PBE) for a geometry-optimized Dy2SeO2 structure.

a = 3.8440 Å, b = 3.8440 Å, c = 6.8259 Å
α = 90.00°, β = 90.00°, γ = 120.00°
With the nearest neighbours (Å) after each atom.
Element x y z (fractional)
Dy  0.3333  0.6667  0.2909  4 O 2.29
Dy  0.6667  0.3333  0.7091  4 O 2.29
Se  0.0000  0.0000  0.0000  6 Dy 2.98
O  0.3333  0.6667  0.6260  4 Dy 2.29
O  0.6667  0.3333  0.3740  4 Dy 2.29

Output
Calculated total energy in eV/cell: -38.2
Calculated formation energy in eV per formula unit: -16.997
Symmetry: P-3m1
Total energy after the MP2020 corrections in eV/atom: -7.921


(2)
Density functional theory data (PBE) for a geometry-optimized Dy2SiO5 structure.

a = 10.1914 Å, b = 3.6779 Å, c = 10.8183 Å
α = 90.00°, β = 90.00°, γ = 90.00°
With the nearest neighbours (Å) after each atom.
Element x y z (fractional)
Dy  0.1011  0.2500  0.2171  7 O 2.24-2.49
Dy  0.1395  0.2500  0.5542  7 O 2.30-2.36
Dy  0.3605  0.7500  0.0542  7 O 2.30-2.36
Dy  0.3989  0.7500  0.7171  7 O 2.24-2.49
Dy  0.6011  0.2500  0.2829  7 O 2.24-2.49
Dy  0.6395  0.2500  0.9458  7 O 2.30-2.36
Dy  0.8605  0.7500  0.4458  7 O 2.30-2.36
Dy  0.8989  0.7500  0.7829  7 O 2.24-2.49
Si  0.1812  0.2500  0.8752  3 O 1.64-1.72
Si  0.3188  0.7500  0.3752  3 O 1.64-1.72
Si  0.6812  0.2500  0.6248  3 O 1.64-1.72
Si  0.8188  0.7500  0.1248  3 O 1.64-1.72
O  0.0100  0.7500  0.6045  4 Dy 2.24-2.33
O  0.0234  0.2500  0.8443  1 Si 1.64
O  0.2208  0.2500  0.0282  1 Si 1.70
O  0.2243  0.7500  0.8783  2 Si 1.89
O  0.2349  0.7500  0.2372  1 Si 1.72
O  0.2651  0.2500  0.7372  1 Si 1.72
O  0.2757  0.2500  0.3783  2 Si 1.89
O  0.2792  0.7500  0.5282  1 Si 1.70
O  0.4766  0.7500  0.3443  1 Si 1.64
O  0.4900  0.2500  0.1045  4 Dy 2.24-2.33
O  0.5100  0.7500  0.8955  4 Dy 2.24-2.33
O  0.5234  0.2500  0.6557  1 Si 1.64
O  0.7208  0.2500  0.4718  1 Si 1.70
O  0.7243  0.7500  0.6217  2 Si 1.89
O  0.7349  0.7500  0.2628  1 Si 1.72
O  0.7651  0.2500  0.7628  1 Si 1.72
O  0.7757  0.2500  0.1217  2 Si 1.89
O  0.7792  0.7500  0.9718  1 Si 1.70
O  0.9766  0.7500  0.1557  1 Si 1.64
O  0.9900  0.2500  0.3955  4 Dy 2.24-2.33

Output
Calculated total energy in eV/cell: -263.3
E above lowest polymorph in meV per atom: 81
Calculated formation energy in eV per formula unit: -29.888
Symmetry: Pnma
Spin magnetization in Bohr magnetons per cell: 0.00
Total energy after the MP2020 corrections in eV/atom: -8.658


(3)
Density functional theory data (PBE) for a geometry-optimized Dy2SiO5 structure.

a = 8.0302 Å, b = 8.0302 Å, c = 10.5211 Å
α = 118.83°, β = 118.83°, γ = 50.24°
With the nearest neighbours (Å) after each atom.
Element x y z (fractional)
Dy  0.0248  0.2604  0.8377  6 O 2.22-2.32
Dy  0.2077  0.7190  0.5326  6 O 2.21-2.40
Dy  0.2604  0.0248  0.3377  6 O 2.22-2.32
Dy  0.2810  0.7923  0.9674  6 O 2.21-2.40
Dy  0.7190  0.2077  0.0326  6 O 2.21-2.40
Dy  0.7396  0.9752  0.6623  6 O 2.22-2.32
Dy  0.7923  0.2810  0.4674  6 O 2.21-2.40
Dy  0.9752  0.7396  0.1623  6 O 2.22-2.32
Si  0.2278  0.4083  0.6946  4 O 1.63-1.66
Si  0.4083  0.2278  0.1946  4 O 1.63-1.66
Si  0.5917  0.7722  0.8054  4 O 1.63-1.66
Si  0.7722  0.5917  0.3054  4 O 1.63-1.66
O  0.0539  0.3509  0.6758  1 Si 1.63
O  0.0776  0.8891  0.1042  4 Dy 2.21-2.40
O  0.0957  0.6635  0.6762  1 Si 1.66
O  0.1109  0.9224  0.3958  4 Dy 2.21-2.40
O  0.2253  0.3721  0.0681  1 Si 1.64
O  0.3365  0.9043  0.8238  1 Si 1.66
O  0.3509  0.0539  0.1758  1 Si 1.63
O  0.3721  0.2253  0.5681  1 Si 1.64
O  0.3998  0.4184  0.8634  1 Si 1.65
O  0.4184  0.3998  0.3634  1 Si 1.65
O  0.5816  0.6002  0.6366  1 Si 1.65
O  0.6002  0.5816  0.1366  1 Si 1.65
O  0.6279  0.7747  0.4319  1 Si 1.64
O  0.6491  0.9461  0.8242  1 Si 1.63
O  0.6635  0.0957  0.1762  1 Si 1.66
O  0.7747  0.6279  0.9319  1 Si 1.64
O  0.8891  0.0776  0.6042  4 Dy 2.21-2.40
O  0.9043  0.3365  0.3238  1 Si 1.66
O  0.9224  0.1109  0.8958  4 Dy 2.21-2.40
O  0.9461  0.6491  0.3242  1 Si 1.63

Output
Calculated total energy in eV/cell: -265.9
E above lowest polymorph in meV per atom: 0
Calculated formation energy in eV per formula unit: -30.540
Symmetry: C2/c
Total energy after the MP2020 corrections in eV/atom: -8.740


(4)
Density functional theory data (PBE) for a geometry-optimized Dy2SiO5 structure.

a = 9.1404 Å, b = 6.9035 Å, c = 6.7531 Å
α = 90.00°, β = 105.87°, γ = 90.00°
With the nearest neighbours (Å) after each atom.
Element x y z (fractional)
Dy  0.0293  0.1243  0.2312  6 O 2.24-2.46
Dy  0.0293  0.3757  0.7312  6 O 2.24-2.46
Dy  0.3740  0.1400  0.0570  7 O 2.27-2.49
Dy  0.3740  0.3600  0.5570  7 O 2.27-2.49
Dy  0.6260  0.6400  0.4430  7 O 2.27-2.49
Dy  0.6260  0.8600  0.9430  7 O 2.27-2.49
Dy  0.9707  0.6243  0.2688  6 O 2.24-2.46
Dy  0.9707  0.8757  0.7688  6 O 2.24-2.46
Si  0.2993  0.5896  0.0249  4 O 1.61-1.67
Si  0.2993  0.9104  0.5249  4 O 1.61-1.67
Si  0.7007  0.0896  0.4751  4 O 1.61-1.67
Si  0.7007  0.4104  0.9751  4 O 1.61-1.67
O  0.1135  0.1192  0.9390  4 Dy 2.24-2.31
O  0.1135  0.3808  0.4390  4 Dy 2.24-2.31
O  0.1146  0.6364  0.9861  1 Si 1.67
O  0.1146  0.8636  0.4861  1 Si 1.67
O  0.2924  0.0720  0.3378  1 Si 1.67
O  0.2924  0.4280  0.8378  1 Si 1.67
O  0.3722  0.0500  0.7242  1 Si 1.64
O  0.3722  0.4500  0.2242  1 Si 1.64
O  0.3964  0.7168  0.5197  1 Si 1.61
O  0.3964  0.7832  0.0197  1 Si 1.61
O  0.6036  0.2168  0.9803  1 Si 1.61
O  0.6036  0.2832  0.4803  1 Si 1.61
O  0.6278  0.5500  0.7758  1 Si 1.64
O  0.6278  0.9500  0.2758  1 Si 1.64
O  0.7076  0.5720  0.1622  1 Si 1.67
O  0.7076  0.9280  0.6622  1 Si 1.67
O  0.8854  0.1364  0.5139  1 Si 1.67
O  0.8854  0.3636  0.0139  1 Si 1.67
O  0.8865  0.6192  0.5610  4 Dy 2.24-2.31
O  0.8865  0.8808  0.0610  4 Dy 2.24-2.31

Output
Calculated total energy in eV/cell: -265.2
E above lowest polymorph in meV per atom: 23
Calculated formation energy in eV per formula unit: -30.357
Symmetry: P2_1/c
Spin magnetization in Bohr magnetons per cell: 0.00
Total energy after the MP2020 corrections in eV/atom: -8.717


(5)
Density functional theory data (PBE) for a geometry-optimized DySnO3 structure.

a = 4.1385 Å, b = 4.1385 Å, c = 4.1385 Å
α = 90.00°, β = 90.00°, γ = 90.00°
With the nearest neighbours (Å) after each atom.
Element x y z (fractional)
Dy  0.0000  0.0000  0.0000  12 O 2.93
Sn  0.5000  0.5000  0.5000  6 O 2.07
O  0.0000  0.5000  0.5000  2 Sn 2.07
O  0.5000  0.0000  0.5000  2 Sn 2.07
O  0.5000  0.5000  0.0000  2 Sn 2.07

Output
Calculated total energy in eV/cell: -32.2
Calculated formation energy in eV per formula unit: -10.760
Symmetry: Pm-3m
Spin magnetization in Bohr magnetons per cell: 0.00
Total energy after the MP2020 corrections in eV/atom: -6.844


(6)
Density functional theory data (PBE) for a geometry-optimized Dy2Sn2O7 structure.

a = 7.4229 Å, b = 7.4229 Å, c = 7.4229 Å
α = 60.00°, β = 60.00°, γ = 60.00°
With the nearest neighbours (Å) after each atom.
Element x y z (fractional)
Dy  0.0000  0.0000  0.0000  8 O 2.27-2.51
Dy  0.0000  0.0000  0.5000  8 O 2.27-2.51
Dy  0.0000  0.5000  0.0000  8 O 2.27-2.51
Dy  0.5000  0.0000  0.0000  8 O 2.27-2.51
Sn  0.0000  0.5000  0.5000  6 O 2.08
Sn  0.5000  0.0000  0.5000  6 O 2.08
Sn  0.5000  0.5000  0.0000  6 O 2.08
Sn  0.5000  0.5000  0.5000  6 O 2.08
O  0.1250  0.1250  0.1250  4 Dy 2.27
O  0.1607  0.1607  0.5893  2 Sn 2.08
O  0.1607  0.5893  0.1607  2 Sn 2.08
O  0.1607  0.5893  0.5893  2 Sn 2.08
O  0.4107  0.4107  0.8393  2 Sn 2.08
O  0.4107  0.8393  0.4107  2 Sn 2.08
O  0.4107  0.8393  0.8393  2 Sn 2.08
O  0.5893  0.1607  0.1607  2 Sn 2.08
O  0.5893  0.1607  0.5893  2 Sn 2.08
O  0.5893  0.5893  0.1607  2 Sn 2.08
O  0.8393  0.4107  0.4107  2 Sn 2.08
O  0.8393  0.4107  0.8393  2 Sn 2.08
O  0.8393  0.8393  0.4107  2 Sn 2.08
O  0.8750  0.8750  0.8750  4 Dy 2.27

Output
Calculated total energy in eV/cell: -160.8
Calculated formation energy in eV per formula unit: -33.323
Symmetry: Fd-3m
Total energy after the MP2020 corrections in eV/atom: -7.745


(7)
Density functional theory data (PBE) for a geometry-optimized SrDy2O4 structure.

a = 10.1574 Å, b = 3.4343 Å, c = 12.0069 Å
α = 90.00°, β = 90.00°, γ = 90.00°
With the nearest neighbours (Å) after each atom.
Element x y z (fractional)
Sr  0.2476  0.2500  0.1487  8 O 2.62-2.92
Sr  0.2524  0.7500  0.6487  8 O 2.62-2.92
Sr  0.7476  0.2500  0.3513  8 O 2.62-2.92
Sr  0.7524  0.7500  0.8513  8 O 2.62-2.92
Dy  0.0763  0.2500  0.8889  6 O 2.22-2.38
Dy  0.0778  0.2500  0.3880  6 O 2.26-2.34
Dy  0.4222  0.7500  0.8880  6 O 2.26-2.34
Dy  0.4237  0.7500  0.3889  6 O 2.22-2.38
Dy  0.5763  0.2500  0.6111  6 O 2.22-2.38
Dy  0.5778  0.2500  0.1120  6 O 2.26-2.34
Dy  0.9222  0.7500  0.6120  6 O 2.26-2.34
Dy  0.9237  0.7500  0.1111  6 O 2.22-2.38
O  0.0137  0.7500  0.7837  3 Dy 2.22-2.26
O  0.0738  0.2500  0.5775  3 Dy 2.28-2.34
O  0.1256  0.7500  0.0197  3 Dy 2.33-2.38
O  0.2122  0.7500  0.3252  3 Dy 2.28-2.32
O  0.2878  0.2500  0.8252  3 Dy 2.28-2.32
O  0.3744  0.2500  0.5197  3 Dy 2.33-2.38
O  0.4262  0.7500  0.0775  3 Dy 2.28-2.34
O  0.4863  0.2500  0.2837  3 Dy 2.22-2.26
O  0.5137  0.7500  0.7163  3 Dy 2.22-2.26
O  0.5738  0.2500  0.9225  3 Dy 2.28-2.34
O  0.6256  0.7500  0.4803  3 Dy 2.33-2.38
O  0.7122  0.7500  0.1748  3 Dy 2.28-2.32
O  0.7878  0.2500  0.6748  3 Dy 2.28-2.32
O  0.8744  0.2500  0.9803  3 Dy 2.33-2.38
O  0.9262  0.7500  0.4225  3 Dy 2.28-2.34
O  0.9863  0.2500  0.2163  3 Dy 2.22-2.26

Output
Calculated total energy in eV/cell: -216.5
Calculated formation energy in eV per formula unit: -26.170
Symmetry: Pnma
Total energy after the MP2020 corrections in eV/atom: -8.124


(8)
Density functional theory data (PBE) for a geometry-optimized SrDyO3 structure.

a = 4.3729 Å, b = 4.3729 Å, c = 4.3729 Å
α = 90.00°, β = 90.00°, γ = 90.00°
With the nearest neighbours (Å) after each atom.
Element x y z (fractional)
Sr  0.0000  0.0000  0.0000  12 O 3.09
Dy  0.5000  0.5000  0.5000  6 O 2.19
O  0.0000  0.5000  0.5000  2 Dy 2.19
O  0.5000  0.0000  0.5000  2 Dy 2.19
O  0.5000  0.5000  0.0000  2 Dy 2.19

Output
Calculated total energy in eV/cell: -34.2
Calculated formation energy in eV per formula unit: -15.145
Symmetry: Pm-3m
Spin magnetization in Bohr magnetons per cell: 1.00
Total energy after the MP2020 corrections in eV/atom: -7.257